! LiMnO2 (GGA+U, optimized geometry); values from VASP
! **Total energy after the MP2020 corrections**: -117.79 eV/cell
! **DFT formation energy**: -2.120 eV per atom
&SYSTEM
  ibrav = 0, nat = 16, ntyp = 3
/
ATOMIC_SPECIES
Li 6.94 Li.upf
Mn 54.94 Mn.upf
O 16.00 O.upf
CELL_PARAMETERS angstrom
3.708 -0.297 -3.546
0.514 5.182 0.104
3.891 -0.468 4.109
ATOMIC_POSITIONS crystal
Li 0.000 0.500 0.260
Li 0.000 0.500 0.760
Li 0.500 0.000 0.990
Li 0.500 0.000 0.490
Mn 0.500 0.500 0.747
Mn 0.000 0.000 0.003
Mn 0.500 0.500 0.247
Mn 0.000 0.000 0.503
O 0.289 0.347 0.997
O 0.289 0.347 0.497
O 0.211 0.847 0.253
O 0.211 0.847 0.753
O 0.711 0.653 0.997
O 0.711 0.653 0.497
O 0.789 0.153 0.253
O 0.789 0.153 0.753


! La6MgWO12 (GGA+U, optimized geometry); values from VASP
! **Total energy after the MP2020 corrections**: -173.47 eV/cell
! **DFT formation energy**: -3.496 eV per atom
! **ΔE to the lowest computed polymorph**: 0 meV per atom
&SYSTEM
  ibrav = 0, nat = 20, ntyp = 4
/
ATOMIC_SPECIES
La 138.91 La.upf
Mg 24.30 Mg.upf
W 183.84 W.upf
O 16.00 O.upf
CELL_PARAMETERS angstrom
5.085 2.936 3.640
-5.085 2.936 3.640
0.000 -5.872 3.640
ATOMIC_POSITIONS crystal
La 0.427 0.912 0.731
La 0.269 0.573 0.088
La 0.088 0.269 0.573
La 0.912 0.731 0.427
La 0.731 0.427 0.912
La 0.573 0.088 0.269
Mg 0.500 0.500 0.500
W 0.000 0.000 0.000
O 0.065 0.937 0.707
O 0.293 0.935 0.063
O 0.199 0.549 0.418
O 0.582 0.801 0.451
O 0.063 0.293 0.935
O 0.451 0.582 0.801
O 0.549 0.418 0.199
O 0.937 0.707 0.065
O 0.418 0.199 0.549
O 0.801 0.451 0.582
O 0.707 0.065 0.937
O 0.935 0.063 0.293


! MnTe2O5 (GGA+U, optimized geometry); values from VASP
! **Total energy after the MP2020 corrections**: -214.29 eV/cell
! **DFT formation energy**: -1.673 eV per atom
! **ΔE to the lowest computed polymorph**: 7 meV per atom
&SYSTEM
  ibrav = 0, nat = 32, ntyp = 3
/
ATOMIC_SPECIES
Mn 54.94 Mn.upf
Te 127.60 Te.upf
O 16.00 O.upf
CELL_PARAMETERS angstrom
6.097 0.000 0.000
0.000 7.435 0.000
0.001 0.001 11.031
ATOMIC_POSITIONS crystal
Mn 0.250 0.000 0.058
Mn 0.750 0.500 0.441
Mn 0.750 0.001 0.937
Mn 0.250 0.501 0.563
Te 0.013 0.864 0.347
Te 0.513 0.637 0.153
Te 0.987 0.364 0.153
Te 0.487 0.137 0.348
Te 0.511 0.867 0.654
Te 0.011 0.633 0.846
Te 0.489 0.367 0.846
Te 0.989 0.133 0.654
O 0.953 0.348 0.566
O 0.453 0.152 0.934
O 0.047 0.848 0.934
O 0.547 0.651 0.566
O 0.048 0.647 0.436
O 0.548 0.853 0.064
O 0.952 0.147 0.064
O 0.452 0.353 0.436
O 0.813 0.192 0.791
O 0.313 0.307 0.709
O 0.187 0.692 0.709
O 0.687 0.807 0.791
O 0.250 0.000 0.440
O 0.750 0.500 0.060
O 0.750 0.000 0.562
O 0.250 0.500 0.938
O 0.310 0.195 0.211
O 0.810 0.305 0.289
O 0.689 0.695 0.289
O 0.190 0.805 0.211


! LiFeOF2 (GGA+U, optimized geometry); values from VASP
! **Total energy after the MP2020 corrections**: -126.99 eV/cell
! **DFT formation energy**: -2.518 eV per atom
! **ΔE to the lowest computed polymorph**: 0 meV per atom
&SYSTEM
  ibrav = 0, nat = 20, ntyp = 4
/
ATOMIC_SPECIES
Li 6.94 Li.upf
Fe 55.84 Fe.upf
O 16.00 O.upf
F 19.00 F.upf
CELL_PARAMETERS angstrom
2.115 -2.241 -5.896
2.737 5.759 -1.896
4.923 -1.146 1.528
ATOMIC_POSITIONS crystal
Li 0.780 0.603 0.677
Li 0.603 0.780 0.177
Li 0.397 0.220 0.823
Li 0.220 0.397 0.323
Fe 0.927 0.073 0.750
Fe 0.258 0.742 0.750
Fe 0.742 0.258 0.250
Fe 0.073 0.927 0.250
O 0.988 0.804 0.609
O 0.804 0.988 0.109
O 0.196 0.012 0.891
O 0.012 0.196 0.391
F 0.535 0.713 0.856
F 0.860 0.360 0.890
F 0.713 0.535 0.356
F 0.360 0.860 0.390
F 0.640 0.140 0.610
F 0.287 0.465 0.644
F 0.140 0.640 0.110
F 0.465 0.287 0.144


! KBaCeWO6 (GGA+U, optimized geometry); values from VASP
! **Total energy after the MP2020 corrections**: -323.67 eV/cell
! **DFT formation energy**: -2.931 eV per atom
! **ΔE to the lowest computed polymorph**: 0 meV per atom
&SYSTEM
  ibrav = 0, nat = 40, ntyp = 5
/
ATOMIC_SPECIES
K 39.10 K.upf
Ba 137.33 Ba.upf
Ce 140.12 Ce.upf
W 183.84 W.upf
O 16.00 O.upf
CELL_PARAMETERS angstrom
-1.776 -8.164 1.729
3.741 0.810 7.664
-7.487 2.350 3.407
ATOMIC_POSITIONS crystal
K 0.000 0.500 0.500
K 0.500 0.500 0.000
K 0.500 0.000 0.000
K 0.000 0.000 0.500
Ba 0.500 0.000 0.500
Ba 0.000 0.500 0.000
Ba 0.000 0.000 0.000
Ba 0.500 0.500 0.500
Ce 0.750 0.750 0.750
Ce 0.250 0.250 0.750
Ce 0.250 0.750 0.250
Ce 0.750 0.250 0.250
W 0.250 0.250 0.250
W 0.750 0.750 0.250
W 0.750 0.250 0.750
W 0.250 0.750 0.750
O 0.021 0.239 0.255
O 0.979 0.761 0.255
O 0.979 0.239 0.745
O 0.021 0.761 0.745
O 0.260 0.010 0.247
O 0.260 0.990 0.753
O 0.740 0.990 0.247
O 0.740 0.010 0.753
O 0.230 0.253 0.011
O 0.770 0.253 0.989
O 0.230 0.747 0.989
O 0.770 0.747 0.011
O 0.479 0.261 0.245
O 0.521 0.739 0.245
O 0.521 0.261 0.755
O 0.479 0.739 0.755
O 0.240 0.490 0.253
O 0.240 0.510 0.747
O 0.760 0.510 0.253
O 0.760 0.490 0.747
O 0.270 0.247 0.489
O 0.730 0.247 0.511
O 0.270 0.753 0.511
O 0.730 0.753 0.489


! K2FeC4O4 (GGA+U, optimized geometry); values from VASP
! **Total energy after the MP2020 corrections**: -153.25 eV/cell
! **DFT formation energy**: -0.839 eV per atom
&SYSTEM
  ibrav = 0, nat = 22, ntyp = 4
/
ATOMIC_SPECIES
K 39.10 K.upf
Fe 55.84 Fe.upf
C 12.01 C.upf
O 16.00 O.upf
CELL_PARAMETERS angstrom
0.000 5.808 11.814
2.817 0.000 11.814
2.817 5.808 0.000
ATOMIC_POSITIONS crystal
K 0.177 0.177 0.823
K 0.823 0.823 0.177
K 0.427 0.427 0.073
K 0.073 0.073 0.427
Fe 0.500 0.500 0.500
Fe 0.750 0.750 0.750
C 0.063 0.524 0.583
C 0.726 0.187 0.420
C 0.420 0.667 0.726
C 0.667 0.420 0.187
C 0.583 0.830 0.063
C 0.187 0.726 0.667
C 0.524 0.063 0.830
C 0.830 0.583 0.524
O 0.367 0.281 0.898
O 0.454 0.898 0.281
O 0.883 0.969 0.352
O 0.352 0.796 0.883
O 0.796 0.352 0.969
O 0.898 0.454 0.367
O 0.969 0.883 0.796
O 0.281 0.367 0.454


! Li3MnFe2B3O9 (GGA+U, optimized geometry); values from VASP
! **Total energy after the MP2020 corrections**: -278.72 eV/cell
! **DFT formation energy**: -2.387 eV per atom
! **ΔE to the lowest computed polymorph**: 2 meV per atom
&SYSTEM
  ibrav = 0, nat = 36, ntyp = 5
/
ATOMIC_SPECIES
Li 6.94 Li.upf
Mn 54.94 Mn.upf
Fe 55.84 Fe.upf
B 10.81 B.upf
O 16.00 O.upf
CELL_PARAMETERS angstrom
3.152 0.000 0.000
0.000 8.254 0.000
0.000 0.016 14.307
ATOMIC_POSITIONS crystal
Li 0.500 0.707 0.009
Li 0.500 0.661 0.641
Li 0.500 0.634 0.349
Li 0.500 0.207 0.507
Li 0.500 0.158 0.143
Li 0.500 0.132 0.849
Mn 0.000 0.367 0.994
Mn 0.000 0.326 0.686
Fe 0.000 0.863 0.496
Fe 0.000 0.824 0.184
Fe 0.000 0.813 0.821
Fe 0.000 0.312 0.320
B 0.500 0.000 0.333
B 0.000 0.999 0.001
B 0.500 0.998 0.667
B 0.500 0.502 0.833
B 0.000 0.500 0.499
B 0.500 0.501 0.168
O 0.500 0.986 0.570
O 0.500 0.981 0.237
O 0.500 0.864 0.391
O 0.500 0.858 0.721
O 0.000 0.846 0.043
O 0.500 0.655 0.874
O 0.500 0.652 0.210
O 0.000 0.639 0.554
O 0.000 0.514 0.402
O 0.500 0.490 0.071
O 0.500 0.487 0.736
O 0.500 0.363 0.888
O 0.500 0.361 0.222
O 0.000 0.347 0.540
O 0.500 0.155 0.372
O 0.500 0.149 0.709
O 0.000 0.137 0.057
O 0.000 0.012 0.904


! Li5Mn5CoO12 (GGA+U, optimized geometry); values from VASP
! **Total energy after the MP2020 corrections**: -503.22 eV/cell
! **DFT formation energy**: -1.996 eV per atom
&SYSTEM
  ibrav = 0, nat = 69, ntyp = 4
/
ATOMIC_SPECIES
Li 6.94 Li.upf
Mn 54.94 Mn.upf
Co 58.93 Co.upf
O 16.00 O.upf
CELL_PARAMETERS angstrom
-8.598 0.000 0.000
4.202 7.939 0.000
-0.459 -1.108 -10.094
ATOMIC_POSITIONS crystal
Li 0.431 0.074 0.733
Li 0.577 0.271 0.268
Li 0.598 0.588 0.257
Li 0.746 0.439 0.748
Li 0.758 0.105 0.744
Li 0.913 0.248 0.256
Li 0.918 0.899 0.254
Li 0.075 0.096 0.747
Li 0.065 0.759 0.750
Li 0.230 0.262 0.271
Li 0.215 0.599 0.275
Li 0.244 0.916 0.263
Li 0.399 0.421 0.742
Li 0.439 0.733 0.728
Li 0.567 0.922 0.268
Mn 0.333 0.164 0.499
Mn 0.668 0.168 0.496
Mn 0.668 0.502 0.502
Mn 0.004 0.333 0.996
Mn 0.996 0.665 0.010
Mn 0.001 0.831 0.501
Mn 0.999 0.496 0.504
Mn 0.998 0.163 0.499
Mn 0.339 0.334 0.003
Mn 0.327 0.995 0.004
Mn 0.333 0.499 0.494
Mn 0.334 0.832 0.507
Mn 0.664 0.668 0.992
Mn 0.668 0.003 0.996
Mn 0.669 0.835 0.506
Co 0.672 0.338 0.997
Co 0.330 0.665 0.004
Co 0.997 0.998 0.002
O 0.127 0.069 0.381
O 0.215 0.088 0.903
O 0.462 0.403 0.378
O 0.459 0.070 0.381
O 0.455 0.240 0.099
O 0.541 0.263 0.616
O 0.576 0.112 0.892
O 0.573 0.446 0.889
O 0.786 0.243 0.096
O 0.769 0.567 0.097
O 0.791 0.068 0.380
O 0.789 0.737 0.389
O 0.784 0.392 0.395
O 0.890 0.437 0.903
O 0.880 0.599 0.615
O 0.873 0.261 0.609
O 0.914 0.114 0.892
O 0.893 0.766 0.904
O 0.093 0.223 0.105
O 0.083 0.885 0.112
O 0.133 0.741 0.389
O 0.122 0.400 0.379
O 0.111 0.561 0.100
O 0.219 0.606 0.605
O 0.211 0.262 0.611
O 0.209 0.932 0.619
O 0.229 0.432 0.906
O 0.207 0.756 0.907
O 0.458 0.579 0.100
O 0.422 0.890 0.109
O 0.460 0.739 0.387
O 0.541 0.761 0.902
O 0.546 0.935 0.621
O 0.534 0.594 0.612
O 0.773 0.899 0.096
O 0.886 0.943 0.609